Entry 1:
{"formula": "Li9Mn7O16", "functional": "GGA+U", "state": "relaxed", "de_polymorph_ev_per_atom": 0.010, "e_tot_ha_per_atom": -0.2367, "formation_energy_ev_per_atom": -2.13, "space_group": "P-1, No. 2", "cell": [[-0.457, -0.499, 5.057], [5.181, -3.140, 0.353], [5.281, 7.647, 3.284]], "species": ["Li", "Li", "Li", "Li", "Li", "Li", "Li", "Li", "Li", "Mn", "Mn", "Mn", "Mn", "Mn", "Mn", "Mn", "O", "O", "O", "O", "O", "O", "O", "O", "O", "O", "O", "O", "O", "O", "O", "O"], "fractional_positions": [[0.492, 0.261, 0.999], [0.253, 0.502, 0.248], [0.508, 0.739, 0.001], [0.244, 0.999, 0.248], [0.756, 0.001, 0.752], [0.747, 0.498, 0.752], [0.996, 0.748, 0.499], [0.004, 0.252, 0.501], [0.000, 0.500, 0.000], [0.000, 0.000, 0.000], [0.750, 0.249, 0.245], [0.500, 0.500, 0.500], [0.250, 0.751, 0.755], [0.751, 0.742, 0.244], [0.500, 0.000, 0.500], [0.249, 0.258, 0.756], [0.353, 0.019, 0.880], [0.093, 0.222, 0.118], [0.367, 0.504, 0.863], [0.101, 0.764, 0.126], [0.606, 0.767, 0.627], [0.602, 0.265, 0.627], [0.859, 0.513, 0.375], [0.850, 0.002, 0.372], [0.633, 0.496, 0.137], [0.398, 0.735, 0.373], [0.647, 0.981, 0.120], [0.394, 0.233, 0.373], [0.899, 0.236, 0.874], [0.907, 0.778, 0.882], [0.150, 0.998, 0.628], [0.141, 0.487, 0.625]]}

Entry 2:
{"formula": "BaPrMgCo2O6", "functional": "GGA+U", "state": "relaxed", "de_polymorph_ev_per_atom": 0.150, "e_tot_ha_per_atom": -0.2313, "formation_energy_ev_per_atom": -2.22, "space_group": "Pmm2, No. 25", "cell": [[-3.866, 0.169, -0.083], [-0.098, -0.338, 3.863], [0.462, 11.083, 0.980]], "species": ["Ba", "Pr", "Mg", "Co", "Co", "O", "O", "O", "O", "O", "O"], "fractional_positions": [[0.000, 0.000, 0.051], [0.000, 0.000, 0.382], [0.000, 0.000, 0.743], [0.500, 0.500, 0.838], [0.500, 0.500, 0.251], [0.000, 0.500, 0.788], [0.500, 0.000, 0.765], [0.000, 0.500, 0.240], [0.500, 0.000, 0.247], [0.500, 0.500, 0.431], [0.500, 0.500, 0.005]]}

Entry 3:
{"formula": "Zn2Ni9O13", "functional": "GGA+U", "state": "relaxed", "e_tot_ha_per_atom": -0.1755, "formation_energy_ev_per_atom": -1.15, "space_group": "C2/m, No. 12", "cell": [[-2.495, -4.038, 1.854], [-1.893, -4.639, -0.928], [12.946, -8.922, 4.734]], "species": ["Zn", "Zn", "Ni", "Ni", "Ni", "Ni", "Ni", "Ni", "Ni", "Ni", "Ni", "O", "O", "O", "O", "O", "O", "O", "O", "O", "O", "O", "O", "O"], "fractional_positions": [[0.784, 0.784, 0.229], [0.216, 0.216, 0.771], [0.500, 0.500, 0.500], [0.354, 0.354, 0.041], [0.646, 0.646, 0.959], [0.249, 0.249, 0.419], [0.751, 0.751, 0.581], [0.064, 0.064, 0.124], [0.936, 0.936, 0.876], [0.006, 0.006, 0.335], [0.994, 0.994, 0.665], [0.000, 0.000, 0.000], [0.139, 0.139, 0.229], [0.861, 0.861, 0.771], [0.704, 0.704, 0.070], [0.296, 0.296, 0.930], [0.416, 0.416, 0.147], [0.584, 0.584, 0.853], [0.373, 0.373, 0.311], [0.627, 0.627, 0.689], [0.616, 0.616, 0.388], [0.384, 0.384, 0.612], [0.871, 0.871, 0.463], [0.129, 0.129, 0.537]]}

Entry 4:
{"formula": "Li7Mn5O12", "functional": "GGA+U", "state": "relaxed", "de_polymorph_ev_per_atom": 0.031, "e_tot_ha_per_atom": -0.2343, "formation_energy_ev_per_atom": -2.13, "cell": [[-2.396, -1.604, 0.076], [5.115, -10.555, -6.695], [5.792, -5.653, 8.583]], "species": ["Li", "Li", "Li", "Li", "Li", "Li", "Li", "Li", "Li", "Li", "Li", "Li", "Li", "Li", "Mn", "Mn", "Mn", "Mn", "Mn", "Mn", "Mn", "Mn", "Mn", "Mn", "O", "O", "O", "O", "O", "O", "O", "O", "O", "O", "O", "O", "O", "O", "O", "O", "O", "O", "O", "O", "O", "O", "O", "O"], "fractional_positions": [[0.667, 0.333, 0.667], [0.667, 0.833, 0.167], [0.583, 0.538, 0.704], [0.583, 0.038, 0.204], [0.750, 0.629, 0.129], [0.750, 0.129, 0.629], [0.914, 0.211, 0.040], [0.914, 0.711, 0.540], [0.419, 0.455, 0.293], [0.419, 0.955, 0.793], [0.245, 0.377, 0.866], [0.245, 0.877, 0.366], [0.089, 0.790, 0.967], [0.089, 0.290, 0.467], [0.167, 0.583, 0.917], [0.004, 0.997, 0.005], [0.329, 0.169, 0.828], [0.500, 0.251, 0.251], [0.833, 0.916, 0.582], [0.167, 0.083, 0.417], [0.004, 0.497, 0.505], [0.329, 0.669, 0.328], [0.500, 0.751, 0.751], [0.833, 0.416, 0.082], [0.455, 0.098, 0.007], [0.455, 0.598, 0.507], [0.879, 0.568, 0.326], [0.879, 0.068, 0.826], [0.635, 0.675, 0.944], [0.635, 0.175, 0.444], [0.699, 0.491, 0.889], [0.699, 0.991, 0.389], [0.798, 0.258, 0.855], [0.798, 0.758, 0.355], [0.535, 0.909, 0.978], [0.535, 0.409, 0.479], [0.107, 0.448, 0.663], [0.107, 0.948, 0.163], [0.226, 0.718, 0.170], [0.226, 0.218, 0.670], [0.301, 0.507, 0.109], [0.301, 0.007, 0.609], [0.032, 0.660, 0.724], [0.032, 0.160, 0.224], [0.967, 0.343, 0.277], [0.967, 0.843, 0.777], [0.366, 0.324, 0.056], [0.366, 0.824, 0.556]]}

Entry 5:
{"formula": "CoF4", "functional": "GGA+U", "state": "relaxed", "e_tot_ha_per_atom": -0.1460, "formation_energy_ev_per_atom": -1.72, "space_group": "I4/mcm, No. 140", "cell": [[0.458, -4.880, -4.188], [3.865, -4.248, 2.929], [-5.314, 2.842, 2.292]], "species": ["Co", "Co", "F", "F", "F", "F", "F", "F", "F", "F"], "fractional_positions": [[0.500, 0.000, 0.500], [0.000, 0.500, 0.500], [0.461, 0.961, 0.187], [0.225, 0.725, 0.187], [0.539, 0.039, 0.813], [0.039, 0.225, 0.500], [0.775, 0.275, 0.813], [0.275, 0.461, 0.500], [0.961, 0.775, 0.500], [0.725, 0.539, 0.500]]}

Entry 6:
{"formula": "Mn2OF3", "functional": "GGA+U", "state": "relaxed", "de_polymorph_ev_per_atom": 0.014, "e_tot_ha_per_atom": -0.2410, "formation_energy_ev_per_atom": -2.62, "space_group": "C2/m, No. 12", "cell": [[3.418, 4.695, 0.000], [-3.418, 4.695, 0.000], [0.000, 0.751, 9.450]], "species": ["Mn", "Mn", "Mn", "Mn", "Mn", "Mn", "Mn", "Mn", "O", "O", "O", "O", "F", "F", "F", "F", "F", "F", "F", "F", "F", "F", "F", "F"], "fractional_positions": [[0.646, 0.646, 0.885], [0.886, 0.886, 0.608], [0.254, 0.254, 0.763], [0.500, 0.500, 0.500], [0.746, 0.746, 0.237], [0.114, 0.114, 0.392], [0.354, 0.354, 0.115], [0.000, 0.000, 0.000], [0.812, 0.188, 0.500], [0.206, 0.206, 0.972], [0.794, 0.794, 0.028], [0.188, 0.812, 0.500], [0.953, 0.575, 0.733], [0.575, 0.953, 0.733], [0.722, 0.722, 0.458], [0.483, 0.483, 0.734], [0.977, 0.977, 0.219], [0.023, 0.023, 0.781], [0.517, 0.517, 0.266], [0.278, 0.278, 0.542], [0.694, 0.306, 0.000], [0.425, 0.047, 0.267], [0.306, 0.694, 0.000], [0.047, 0.425, 0.267]]}

- What is the formula in the sixth record?
  Mn2OF3

- Which formula does entry 6 have?
  Mn2OF3